(1)
Computed, not measured: a relaxed LiSm2Ga crystal at the PBE-GGA level of DFT. Values from VASP.

ΔE_f ... -1.21 eV/f.u.
SG ... Fm-3m

Structure (Quantum ESPRESSO input):
```
&SYSTEM
  ibrav = 0, nat = 4, ntyp = 3
/
ATOMIC_SPECIES
Ga 69.72 Ga.upf
Li 6.94 Li.upf
Sm 150.36 Sm.upf
ATOMIC_POSITIONS crystal
Ga 0.5000 0.5000 0.5000
Li 0.0000 0.0000 0.0000
Sm 0.2500 0.2500 0.2500
Sm 0.7500 0.7500 0.7500
CELL_PARAMETERS angstrom
-2.2157 -3.7557 2.8424
-4.5586 0.8671 2.3581
-4.3086 -2.3635 -1.7156
```

=====

(2)
Computed, not measured: a relaxed LiGa3Te5 crystal at the PBE-GGA level of DFT. Values from VASP.

ΔE_f ... -6.18 eV/f.u.
SG ... R3

Structure (Quantum ESPRESSO input):
```
&SYSTEM
  ibrav = 0, nat = 36, ntyp = 3
/
ATOMIC_SPECIES
Te 127.60 Te.upf
Ga 69.72 Ga.upf
Li 6.94 Li.upf
ATOMIC_POSITIONS crystal
Te 0.5744 0.3204 0.2401
Te 0.9153 0.4998 0.0843
Te 0.5663 0.6714 0.0677
Ga 0.5717 0.8423 0.8754
Li 0.7329 0.2650 0.0039
Ga 0.3373 0.7502 0.1672
Te 0.8338 0.9979 0.1682
Te 0.7619 0.6805 0.4249
Ga 0.6597 0.8333 0.2481
Li 0.0039 0.7329 0.2650
Li 0.5544 0.5544 0.5544
Te 0.6805 0.4249 0.7619
Ga 0.4297 0.1271 0.1585
Te 0.3204 0.2401 0.5744
Te 0.4249 0.7619 0.6805
Te 0.6714 0.0677 0.5663
Ga 0.7502 0.1672 0.3373
Te 0.4324 0.9322 0.3275
Te 0.2401 0.5744 0.3204
Ga 0.8754 0.5717 0.8423
Te 0.9979 0.1682 0.8338
Te 0.8281 0.8281 0.8281
Te 0.9322 0.3275 0.4324
Ga 0.1672 0.3373 0.7502
Ga 0.2481 0.6597 0.8333
Ga 0.8423 0.8754 0.5717
Ga 0.8333 0.2481 0.6597
Te 0.3275 0.4324 0.9322
Te 0.1723 0.1723 0.1723
Ga 0.1271 0.1585 0.4297
Te 0.1682 0.8338 0.9979
Te 0.4998 0.0843 0.9153
Te 0.0843 0.9153 0.4998
Ga 0.1585 0.4297 0.1271
Te 0.0677 0.5663 0.6714
Li 0.2650 0.0039 0.7329
CELL_PARAMETERS angstrom
7.3407 -7.3458 0.0000
7.3407 7.3458 0.0000
-0.0102 0.0000 10.3849
```

=====

(3)
Computed, not measured: a relaxed LiTm2Ga crystal at the PBE-GGA level of DFT. Values from VASP.

ΔE_f ... -1.23 eV/f.u.
SG ... Fm-3m

Structure (Quantum ESPRESSO input):
```
&SYSTEM
  ibrav = 0, nat = 4, ntyp = 3
/
ATOMIC_SPECIES
Ga 69.72 Ga.upf
Tm 168.93 Tm.upf
Li 6.94 Li.upf
ATOMIC_POSITIONS crystal
Ga 0.5000 0.5000 0.5000
Tm 0.7500 0.7500 0.7500
Li 0.0000 0.0000 0.0000
Tm 0.2500 0.2500 0.2500
CELL_PARAMETERS angstrom
0.0000 3.5540 3.5540
3.5540 0.0000 3.5540
3.5540 3.5540 0.0000
```

=====

(4)
Computed, not measured: a relaxed LiYGa4 crystal at the PBE-GGA level of DFT. Values from VASP.

ΔE_f ... -3.01 eV/f.u.
SG ... P-6m2

Structure (Quantum ESPRESSO input):
```
&SYSTEM
  ibrav = 0, nat = 6, ntyp = 3
/
ATOMIC_SPECIES
Li 6.94 Li.upf
Ga 69.72 Ga.upf
Y 88.91 Y.upf
ATOMIC_POSITIONS crystal
Li 0.0000 0.0000 0.5000
Ga 0.6667 0.3333 0.7768
Ga 0.3333 0.6667 0.3086
Ga 0.3333 0.6667 0.6914
Y 0.0000 0.0000 0.0000
Ga 0.6667 0.3333 0.2232
CELL_PARAMETERS angstrom
2.1774 -3.7714 0.0000
2.1774 3.7714 0.0000
0.0000 0.0000 6.9065
```

=====

(5)
Computed, not measured: a relaxed LiY2Ga crystal at the PBE-GGA level of DFT. Values from VASP.

ΔE_f ... -1.39 eV/f.u.
SG ... Fm-3m

Structure (Quantum ESPRESSO input):
```
&SYSTEM
  ibrav = 0, nat = 4, ntyp = 3
/
ATOMIC_SPECIES
Y 88.91 Y.upf
Li 6.94 Li.upf
Ga 69.72 Ga.upf
ATOMIC_POSITIONS crystal
Y 0.7500 0.7500 0.7500
Li 0.0000 0.0000 0.0000
Y 0.2500 0.2500 0.2500
Ga 0.5000 0.5000 0.5000
CELL_PARAMETERS angstrom
3.7432 -2.4768 2.4394
-0.2260 -0.6207 5.0656
-0.8636 -4.6338 1.9695
```

=====

(6)
Computed, not measured: a relaxed Lu3Ga5 crystal at the PBE-GGA level of DFT. Values from VASP.

ΔE_f ... -4.84 eV/f.u.
SG ... Pnma

Structure (Quantum ESPRESSO input):
```
&SYSTEM
  ibrav = 0, nat = 32, ntyp = 2
/
ATOMIC_SPECIES
Lu 174.97 Lu.upf
Ga 69.72 Ga.upf
ATOMIC_POSITIONS crystal
Lu 0.1109 0.0108 0.6470
Lu 0.1521 0.2500 0.9279
Lu 0.3891 0.4892 0.1470
Lu 0.1109 0.4892 0.6470
Ga 0.8725 0.2500 0.4927
Ga 0.8725 0.4487 0.0913
Lu 0.3891 0.0108 0.1470
Ga 0.8933 0.7500 0.7994
Lu 0.6109 0.5108 0.8530
Ga 0.1275 0.5513 0.9087
Ga 0.1275 0.7500 0.5073
Ga 0.6067 0.7500 0.2994
Ga 0.3933 0.2500 0.7006
Ga 0.1067 0.2500 0.2006
Ga 0.3725 0.7500 0.0073
Ga 0.3234 0.7500 0.7503
Ga 0.1766 0.7500 0.2503
Ga 0.6275 0.0513 0.5913
Ga 0.6275 0.4487 0.5913
Lu 0.8479 0.7500 0.0721
Ga 0.1275 0.9487 0.9087
Ga 0.6275 0.2500 0.9927
Lu 0.8891 0.5108 0.3530
Ga 0.8725 0.0513 0.0913
Ga 0.3725 0.9487 0.4087
Ga 0.6766 0.2500 0.2497
Ga 0.3725 0.5513 0.4087
Lu 0.6521 0.7500 0.5721
Lu 0.3479 0.2500 0.4279
Lu 0.6109 0.9892 0.8530
Ga 0.8234 0.2500 0.7497
Lu 0.8891 0.9892 0.3530
CELL_PARAMETERS angstrom
-0.0848 -6.0042 0.5279
4.7841 -0.7942 -8.2639
9.6904 0.3534 5.5760
```

=====

(7)
Computed, not measured: a relaxed Lu5Ga3 crystal at the PBE-GGA level of DFT. Values from VASP.

ΔE_f ... -3.98 eV/f.u.
SG ... C2/m

Structure (Quantum ESPRESSO input):
```
&SYSTEM
  ibrav = 0, nat = 16, ntyp = 2
/
ATOMIC_SPECIES
Ga 69.72 Ga.upf
Lu 174.97 Lu.upf
ATOMIC_POSITIONS crystal
Ga 0.0975 0.5001 0.2843
Lu 0.1817 0.8183 0.0000
Lu 0.4998 0.7432 0.2626
Lu 0.5002 0.2568 0.7374
Lu 0.1486 0.8514 0.5000
Lu 0.7335 0.7335 0.7720
Lu 0.8514 0.1486 0.5000
Ga 0.0967 0.0967 0.8057
Lu 0.2665 0.2665 0.2280
Lu 0.7432 0.4998 0.2626
Lu 0.2568 0.5002 0.7374
Ga 0.4999 0.9025 0.7157
Ga 0.9033 0.9033 0.1943
Ga 0.5001 0.0975 0.2843
Ga 0.9025 0.4999 0.7157
Lu 0.8183 0.1817 0.0000
CELL_PARAMETERS angstrom
-2.0624 0.5749 -8.1532
6.6041 -4.6793 2.3553
-3.7059 -5.1300 0.4913
```

=====

(8)
Computed, not measured: a relaxed Lu5Ga3 crystal at the PBE-GGA level of DFT. Values from VASP.

ΔE_f ... -3.89 eV/f.u.
SG ... P6_3/mcm

Structure (Quantum ESPRESSO input):
```
&SYSTEM
  ibrav = 0, nat = 16, ntyp = 2
/
ATOMIC_SPECIES
Lu 174.97 Lu.upf
Ga 69.72 Ga.upf
ATOMIC_POSITIONS crystal
Lu 0.2414 0.2414 0.2500
Lu 0.0000 0.7586 0.2500
Lu 0.7586 0.7586 0.7500
Lu 0.0000 0.2414 0.7500
Ga 0.4012 0.0000 0.2500
Ga 0.0000 0.4012 0.2500
Ga 0.5988 0.5988 0.2500
Lu 0.6667 0.3333 0.5000
Lu 0.3333 0.6667 0.0000
Lu 0.6667 0.3333 0.0000
Ga 0.4012 0.4012 0.7500
Lu 0.7586 0.0000 0.2500
Ga 0.5988 0.0000 0.7500
Lu 0.2414 0.0000 0.7500
Ga 0.0000 0.5988 0.7500
Lu 0.3333 0.6667 0.5000
CELL_PARAMETERS angstrom
0.7081 5.1578 6.6556
-7.6312 -2.5743 -2.5571
0.4033 -5.0081 3.8381
```

=====

(9)
Computed, not measured: a relaxed LuGa crystal at the PBE-GGA level of DFT. Values from VASP.

ΔE_f ... -1.22 eV/f.u.
SG ... Cmcm

Structure (Quantum ESPRESSO input):
```
&SYSTEM
  ibrav = 0, nat = 4, ntyp = 2
/
ATOMIC_SPECIES
Ga 69.72 Ga.upf
Lu 174.97 Lu.upf
ATOMIC_POSITIONS crystal
Ga 0.4214 0.5786 0.7500
Ga 0.5786 0.4214 0.2500
Lu 0.1384 0.8616 0.7500
Lu 0.8616 0.1384 0.2500
CELL_PARAMETERS angstrom
2.9992 3.2331 3.6279
-5.0040 0.3844 -2.7243
-1.8224 -1.7833 3.0959
```

=====

(10)
Computed, not measured: a relaxed Lu3Ga crystal at the PBE-GGA level of DFT. Values from VASP.

ΔE_f ... -0.95 eV/f.u.
SG ... P6_3/mmc

Structure (Quantum ESPRESSO input):
```
&SYSTEM
  ibrav = 0, nat = 8, ntyp = 2
/
ATOMIC_SPECIES
Lu 174.97 Lu.upf
Ga 69.72 Ga.upf
ATOMIC_POSITIONS crystal
Lu 0.3437 0.1718 0.7500
Lu 0.1718 0.8282 0.2500
Lu 0.8282 0.1718 0.7500
Lu 0.6563 0.8282 0.2500
Lu 0.1718 0.3437 0.2500
Ga 0.6667 0.3333 0.2500
Ga 0.3333 0.6667 0.7500
Lu 0.8282 0.6563 0.7500
CELL_PARAMETERS angstrom
-1.4033 1.9843 6.1432
-4.8320 -0.5851 -4.4671
-0.7297 -4.9790 1.4415
```

=====

(11)
Computed, not measured: a relaxed Lu3Ga2 crystal at the PBE-GGA level of DFT. Values from VASP.

ΔE_f ... -2.71 eV/f.u.
SG ... I4/mcm

Structure (Quantum ESPRESSO input):
```
&SYSTEM
  ibrav = 0, nat = 40, ntyp = 2
/
ATOMIC_SPECIES
Lu 174.97 Lu.upf
Ga 69.72 Ga.upf
ATOMIC_POSITIONS crystal
Lu 0.8536 0.3536 0.5000
Lu 0.6595 0.7961 0.7284
Ga 0.5000 0.5000 0.0000
Lu 0.9311 0.6595 0.8634
Ga 0.8776 0.3776 0.8548
Lu 0.8311 0.6689 0.5000
Ga 0.3776 0.5228 0.5000
Lu 0.6464 0.1464 0.5000
Ga 0.9772 0.1224 0.5000
Ga 0.2500 0.2500 0.0000
Ga 0.3827 0.1173 0.5000
Ga 0.6173 0.8827 0.5000
Lu 0.1464 0.6464 0.5000
Lu 0.1689 0.3311 0.5000
Lu 0.1595 0.4311 0.8634
Lu 0.9323 0.0689 0.7284
Ga 0.1173 0.6173 0.7347
Lu 0.6689 0.1689 0.8377
Lu 0.8405 0.5689 0.1366
Ga 0.7500 0.7500 0.0000
Ga 0.6224 0.4772 0.5000
Ga 0.1224 0.6224 0.1452
Lu 0.2961 0.1595 0.7284
Ga 0.8827 0.3827 0.2653
Ga 0.0228 0.8776 0.5000
Lu 0.3405 0.2039 0.2716
Lu 0.3311 0.8311 0.1623
Lu 0.0689 0.3405 0.1366
Lu 0.4323 0.7039 0.8634
Lu 0.5677 0.2961 0.1366
Lu 0.7039 0.8405 0.2716
Lu 0.0677 0.9311 0.2716
Lu 0.3536 0.8536 0.5000
Ga 0.5228 0.0228 0.1452
Lu 0.4311 0.5677 0.2716
Ga 0.0000 0.0000 0.0000
Lu 0.7961 0.0677 0.1366
Lu 0.2039 0.9323 0.8634
Lu 0.5689 0.4323 0.7284
Ga 0.4772 0.9772 0.8548
CELL_PARAMETERS angstrom
6.0524 -8.9393 0.9699
-7.5220 -3.0640 7.1773
-3.4616 2.5221 -9.9569
```

=====

(12)
Computed, not measured: a relaxed LuGa2 crystal at the PBE-GGA level of DFT. Values from VASP.

ΔE_f ... -1.73 eV/f.u.
SG ... Imma

Structure (Quantum ESPRESSO input):
```
&SYSTEM
  ibrav = 0, nat = 6, ntyp = 2
/
ATOMIC_SPECIES
Lu 174.97 Lu.upf
Ga 69.72 Ga.upf
ATOMIC_POSITIONS crystal
Lu 0.8108 0.5608 0.2500
Ga 0.7885 0.8399 0.9486
Ga 0.2115 0.1601 0.0514
Ga 0.3913 0.8399 0.5514
Lu 0.1892 0.4392 0.7500
Ga 0.6087 0.1601 0.4486
CELL_PARAMETERS angstrom
-4.9083 -0.7755 2.8178
-2.3749 4.3832 -2.7893
1.9542 -5.2001 -1.3314
```

=====

(13)
Computed, not measured: a relaxed Lu3Mn2Ga4 crystal at the PBE-GGA level of DFT. Values from VASP.

ΔE_f ... -2.95 eV/f.u.
SG ... P-62m

Structure (Quantum ESPRESSO input):
```
&SYSTEM
  ibrav = 0, nat = 9, ntyp = 3
/
ATOMIC_SPECIES
Lu 174.97 Lu.upf
Ga 69.72 Ga.upf
Mn 54.94 Mn.upf
ATOMIC_POSITIONS crystal
Lu 0.6189 0.6189 0.5000
Lu 0.3811 0.0000 0.5000
Lu 0.0000 0.3811 0.5000
Ga 0.7111 0.0000 0.0000
Mn 0.3333 0.6667 0.0000
Ga 0.0000 0.0000 0.5000
Ga 0.2889 0.2889 0.0000
Mn 0.6667 0.3333 0.0000
Ga 0.0000 0.7111 0.0000
CELL_PARAMETERS angstrom
1.6664 7.2428 -1.0577
-4.9054 -3.4240 -4.5351
-2.6393 0.9225 2.1584
```

=====

(14)
Computed, not measured: a relaxed LuMn6Ga6 crystal at the PBE-GGA level of DFT. Values from VASP.

ΔE_f ... -1.18 eV/f.u.
SG ... Fmmm

Structure (Quantum ESPRESSO input):
```
&SYSTEM
  ibrav = 0, nat = 13, ntyp = 3
/
ATOMIC_SPECIES
Mn 54.94 Mn.upf
Lu 174.97 Lu.upf
Ga 69.72 Ga.upf
ATOMIC_POSITIONS crystal
Mn 0.5000 0.5000 0.0000
Lu 0.0000 0.0000 0.0000
Mn 0.0000 0.0000 0.5000
Ga 0.5097 0.2627 0.7373
Ga 0.0000 0.5000 0.0000
Ga 0.7373 0.4903 0.5097
Mn 0.6471 0.0041 0.9959
Mn 0.9959 0.3529 0.6471
Ga 0.2627 0.5097 0.4903
Ga 0.4903 0.7373 0.2627
Mn 0.0041 0.6471 0.3529
Mn 0.3529 0.9959 0.0041
Ga 0.5000 0.0000 0.5000
CELL_PARAMETERS angstrom
8.2476 -3.2066 -0.8989
3.3902 -4.9305 3.2970
3.0444 -2.6329 -5.2887
```

=====

(15)
Computed, not measured: a relaxed Lu3Ga5Ni crystal at the PBE-GGA level of DFT. Values from VASP.

ΔE_f ... -5.90 eV/f.u.
SG ... P-62m

Structure (Quantum ESPRESSO input):
```
&SYSTEM
  ibrav = 0, nat = 9, ntyp = 3
/
ATOMIC_SPECIES
Ga 69.72 Ga.upf
Ni 58.69 Ni.upf
Lu 174.97 Lu.upf
ATOMIC_POSITIONS crystal
Ga 0.2361 0.0000 0.0000
Ni 0.0000 0.0000 0.5000
Ga 0.3333 0.6667 0.0000
Lu 0.0000 0.5918 0.5000
Lu 0.4082 0.4082 0.5000
Lu 0.5918 0.0000 0.5000
Ga 0.6667 0.3333 0.0000
Ga 0.0000 0.2361 0.0000
Ga 0.7639 0.7639 0.0000
CELL_PARAMETERS angstrom
3.3962 -5.8824 0.0000
3.3962 5.8824 0.0000
0.0000 0.0000 4.1704
```

=====

(16)
Computed, not measured: a relaxed LuGa4Ni crystal at the PBE-GGA level of DFT. Values from VASP.

ΔE_f ... -2.99 eV/f.u.
SG ... Cmcm

Structure (Quantum ESPRESSO input):
```
&SYSTEM
  ibrav = 0, nat = 12, ntyp = 3
/
ATOMIC_SPECIES
Ga 69.72 Ga.upf
Lu 174.97 Lu.upf
Ni 58.69 Ni.upf
ATOMIC_POSITIONS crystal
Ga 0.5000 0.5000 0.0000
Lu 0.8794 0.2500 0.7588
Ni 0.7734 0.7500 0.5468
Ga 0.3157 0.5513 0.6314
Ni 0.2266 0.2500 0.4532
Ga 0.0700 0.2500 0.1399
Lu 0.1206 0.7500 0.2412
Ga 0.9300 0.7500 0.8601
Ga 0.3157 0.9487 0.6314
Ga 0.6843 0.4487 0.3686
Ga 0.6843 0.0513 0.3686
Ga 0.5000 0.0000 0.0000
CELL_PARAMETERS angstrom
0.5424 -2.7358 -2.9814
-5.1306 -3.4992 2.2775
-4.9076 5.2803 -2.9429
```

=====

(17)
Computed, not measured: a relaxed Lu2GaNi2 crystal at the PBE-GGA level of DFT. Values from VASP.

ΔE_f ... -3.12 eV/f.u.
SG ... Immm

Structure (Quantum ESPRESSO input):
```
&SYSTEM
  ibrav = 0, nat = 5, ntyp = 3
/
ATOMIC_SPECIES
Ni 58.69 Ni.upf
Ga 69.72 Ga.upf
Lu 174.97 Lu.upf
ATOMIC_POSITIONS crystal
Ni 0.5000 0.2706 0.7294
Ga 0.0000 0.0000 0.0000
Lu 0.7972 0.7028 0.7028
Ni 0.5000 0.7294 0.2706
Lu 0.2028 0.2972 0.2972
CELL_PARAMETERS angstrom
-4.1216 0.0000 0.0000
-2.0608 -2.6487 4.0342
-2.0608 2.6487 4.0342
```

=====

(18)
Computed, not measured: a relaxed Lu4Ga21Ni10 crystal at the PBE-GGA level of DFT. Values from VASP.

ΔE_f ... -17.21 eV/f.u.
SG ... C2/m

Structure (Quantum ESPRESSO input):
```
&SYSTEM
  ibrav = 0, nat = 35, ntyp = 3
/
ATOMIC_SPECIES
Ga 69.72 Ga.upf
Lu 174.97 Lu.upf
Ni 58.69 Ni.upf
ATOMIC_POSITIONS crystal
Ga 0.3844 0.3844 0.7027
Lu 0.7704 0.7704 0.8248
Ga 0.9936 0.9936 0.0910
Ga 0.6156 0.6156 0.2973
Ni 0.9754 0.9754 0.6080
Ga 0.3722 0.3722 0.1970
Ga 0.0647 0.0647 0.2043
Ga 0.7980 0.7980 0.0041
Lu 0.1201 0.1201 0.6668
Ni 0.2499 0.2499 0.3854
Ni 0.0246 0.0246 0.3920
Lu 0.2296 0.2296 0.1752
Ga 0.2478 0.2478 0.7064
Ga 0.9353 0.9353 0.7957
Ni 0.3471 0.3471 0.8853
Ga 0.6025 0.6025 0.0026
Ga 0.4590 0.4590 0.3686
Ni 0.8658 0.8658 0.1054
Ni 0.6529 0.6529 0.1147
Ni 0.5025 0.5025 0.8137
Ga 0.2020 0.2020 0.9959
Ga 0.7522 0.7522 0.2936
Ni 0.1342 0.1342 0.8946
Lu 0.8799 0.8799 0.3332
Ga 0.6278 0.6278 0.8030
Ga 0.5000 0.5000 0.5000
Ga 0.2981 0.2981 0.5024
Ni 0.7501 0.7501 0.6146
Ga 0.1164 0.1164 0.4485
Ni 0.4975 0.4975 0.1863
Ga 0.5410 0.5410 0.6314
Ga 0.3975 0.3975 0.9974
Ga 0.0064 0.0064 0.9090
Ga 0.8836 0.8836 0.5515
Ga 0.7019 0.7019 0.4976
CELL_PARAMETERS angstrom
2.0110 10.3018 0.0000
-2.0110 10.3018 0.0000
0.0000 8.5467 12.7913
```